Record 1
Computed, not measured: an optimized crystal structure of K2Ca2S3O12 at the PBE-GGA level of DFT.

Cell lengths 10.641, 10.641, 10.641 Å; angles 90.00, 90.00, 90.00 degrees
Atoms (fractional coordinates):
1 K 0.055 0.055 0.055
2 K 0.186 0.314 0.686
3 K 0.314 0.686 0.186
4 K 0.445 0.945 0.555
5 K 0.555 0.445 0.945
6 K 0.686 0.186 0.314
7 K 0.814 0.814 0.814
8 K 0.945 0.555 0.445
9 Ca 0.089 0.911 0.411
10 Ca 0.171 0.671 0.829
11 Ca 0.329 0.329 0.329
12 Ca 0.411 0.089 0.911
13 Ca 0.589 0.589 0.589
14 Ca 0.671 0.829 0.171
15 Ca 0.829 0.171 0.671
16 Ca 0.911 0.411 0.089
17 S 0.009 0.229 0.374
18 S 0.126 0.991 0.729
19 S 0.229 0.374 0.009
20 S 0.271 0.626 0.509
21 S 0.374 0.009 0.229
22 S 0.491 0.771 0.874
23 S 0.509 0.271 0.626
24 S 0.626 0.509 0.271
25 S 0.729 0.126 0.991
26 S 0.771 0.874 0.491
27 S 0.874 0.491 0.771
28 S 0.991 0.729 0.126
29 O 0.017 0.101 0.316
30 O 0.020 0.082 0.726
31 O 0.037 0.821 0.219
32 O 0.079 0.865 0.768
33 O 0.082 0.726 0.020
34 O 0.101 0.316 0.017
35 O 0.135 0.268 0.421
36 O 0.179 0.719 0.463
37 O 0.184 0.983 0.601
38 O 0.219 0.037 0.821
39 O 0.226 0.480 0.918
40 O 0.232 0.579 0.635
41 O 0.268 0.421 0.135
42 O 0.274 0.520 0.418
43 O 0.281 0.963 0.321
44 O 0.316 0.017 0.101
45 O 0.321 0.281 0.963
46 O 0.365 0.732 0.921
47 O 0.399 0.684 0.517
48 O 0.418 0.274 0.520
49 O 0.421 0.135 0.268
50 O 0.463 0.179 0.719
51 O 0.480 0.918 0.226
52 O 0.483 0.899 0.816
53 O 0.517 0.399 0.684
54 O 0.520 0.418 0.274
55 O 0.537 0.679 0.781
56 O 0.579 0.635 0.232
57 O 0.582 0.774 0.980
58 O 0.601 0.184 0.983
59 O 0.635 0.232 0.579
60 O 0.679 0.781 0.537
61 O 0.684 0.517 0.399
62 O 0.719 0.463 0.179
63 O 0.726 0.020 0.082
64 O 0.732 0.921 0.365
65 O 0.768 0.079 0.865
66 O 0.774 0.980 0.582
67 O 0.781 0.537 0.679
68 O 0.816 0.483 0.899
69 O 0.821 0.219 0.037
70 O 0.865 0.768 0.079
71 O 0.899 0.816 0.483
72 O 0.918 0.226 0.480
73 O 0.921 0.365 0.732
74 O 0.963 0.321 0.281
75 O 0.980 0.582 0.774
76 O 0.983 0.601 0.184

Results
Raw total energy = -471.292 eV per cell
Energy relative to the elements = -244.01 kJ/mol of atoms
Energy above the most stable polymorph in this dataset = 3 meV/atom

=====

Record 2
Computed, not measured: an optimized crystal structure of AsBr3 at the PBE-GGA level of DFT.

Cell lengths 4.687, 11.202, 13.162 Å; angles 90.00, 90.00, 90.00 degrees
Atoms (fractional coordinates):
1 As 0.016 0.191 0.213
2 As 0.484 0.809 0.713
3 As 0.516 0.309 0.787
4 As 0.984 0.691 0.287
5 Br 0.244 0.800 0.873
6 Br 0.247 0.652 0.626
7 Br 0.250 0.024 0.139
8 Br 0.250 0.976 0.639
9 Br 0.253 0.348 0.126
10 Br 0.256 0.200 0.373
11 Br 0.744 0.700 0.127
12 Br 0.747 0.848 0.374
13 Br 0.750 0.476 0.861
14 Br 0.750 0.524 0.361
15 Br 0.753 0.152 0.874
16 Br 0.756 0.300 0.627

Results
Raw total energy = -45.681 eV per cell
Energy relative to the elements = -83.27 kJ/mol of atoms